A relaxed structure of Ce4Sb3. Source: the Materials Project database, functional PBE-GGA.

```
14
Lattice="-4.721 4.721 4.721 4.721 -4.721 4.721 4.721 4.721 -4.721" Properties=species:S:1:pos:R:3 pbc="T T T"
Ce 4.039 0.682 -0.682
Ce 6.399 -1.678 1.678
Ce 0.682 0.682 0.682
Ce 0.682 -0.682 4.039
Ce -0.682 4.039 0.682
Ce 1.678 6.399 -1.678
Ce 3.043 3.043 3.043
Ce -1.678 1.678 6.399
Sb 7.081 1.180 0.000
Sb 3.541 0.000 2.360
Sb 2.360 3.541 0.000
Sb 0.000 2.360 3.541
Sb 1.180 0.000 7.081
Sb 0.000 7.081 1.180
```

Output
E, eV per atom: -6.084
Formation enthalpy at 0 K, kJ/mol of formula units: -680
Total moment, μB/f.u.: 7.00
Space group: I-43d, No. 220

A relaxed structure of Eu2B4Rh5. Source: the Materials Project database, functional PBE-GGA.

```
11
Lattice="0.000 5.003 5.658 2.770 0.000 5.658 2.770 5.003 0.000" Properties=species:S:1:pos:R:3 pbc="T T T"
Eu 2.770 5.003 1.624
Eu 2.770 5.003 9.692
B 2.770 3.385 4.192
B 2.770 3.385 7.124
B 2.770 6.622 4.192
B 2.770 6.622 7.124
Rh 1.385 2.502 0.000
Rh 1.385 2.502 2.829
Rh 1.385 2.502 5.658
Rh 2.770 5.003 5.658
Rh 4.155 7.505 8.487
```

Output
E, eV per atom: -8.265
Formation enthalpy at 0 K, kJ/mol of formula units: -662
Space group: Fmmm, No. 69

A relaxed structure of Er4InNi2Ge4. Source: the Materials Project database, functional PBE-GGA.

```
11
Lattice="7.705 -2.105 0.000 7.705 2.105 0.000 -2.243 0.000 6.644" Properties=species:S:1:pos:R:3 pbc="T T T"
Er 0.533 0.000 2.599
Er 0.299 0.000 6.229
Er 12.867 0.000 0.415
Er 12.634 0.000 4.045
In 7.705 0.000 0.000
Ni 3.547 0.000 2.387
Ni 9.619 0.000 4.257
Ge 2.942 0.000 4.865
Ge 5.934 0.000 2.241
Ge 7.233 0.000 4.403
Ge 10.225 0.000 1.779
```

Output
E, eV per atom: -5.412
Formation enthalpy at 0 K, kJ/mol of formula units: -816
Total moment, μB/f.u.: 0.00
Space group: C2/m, No. 12

A relaxed structure of LiYSe2. Source: the Materials Project database, functional PBE-GGA.

```
4
Lattice="4.093 0.000 0.000 0.000 4.093 0.000 0.000 0.000 5.575" Properties=species:S:1:pos:R:3 pbc="T T T"
Li 0.000 0.000 0.000
Y 2.047 2.047 2.788
Se 0.000 0.000 2.788
Se 2.047 2.047 0.000
```

Output
E, eV per atom: -5.458
Formation enthalpy at 0 K, kJ/mol of formula units: -715
Total moment, μB/f.u.: 0.00
Space group: P4/mmm, No. 123

A relaxed structure of Ba8Bi10O27. Source: the Materials Project database, functional PBE-GGA.

```
45
Lattice="5.423 3.131 7.656 -5.423 3.131 7.656 0.000 -6.262 7.656" Properties=species:S:1:pos:R:3 pbc="T T T"
Ba -1.712 -3.049 9.029
Ba 0.000 0.000 3.793
Ba -3.497 -0.042 13.939
Ba -1.784 3.007 9.029
Ba 1.784 -3.007 13.939
Ba 3.497 0.042 9.029
Ba 0.000 0.000 19.175
Ba 1.712 3.049 13.939
Bi 0.000 0.000 0.000
Bi -3.602 -0.001 10.193
Bi -1.800 -3.120 12.774
Bi 0.000 0.000 7.670
Bi 1.802 -3.119 10.193
Bi 0.000 0.000 11.484
Bi -1.802 3.119 12.774
Bi 0.000 0.000 15.298
Bi 1.800 3.120 10.193
Bi 3.602 0.001 12.774
O -5.423 0.000 11.484
O -2.712 1.566 3.828
O -4.409 1.644 8.966
O -1.010 -1.564 6.433
O -3.629 -2.997 14.001
O -2.604 -1.502 11.479
O 0.781 -4.641 8.966
O -1.673 0.043 9.152
O -0.849 1.657 6.433
O -0.002 -3.006 11.489
O -2.602 1.504 11.489
O 0.799 -1.471 9.152
O -0.874 -1.428 13.816
O 1.860 -0.093 6.433
O 2.712 1.566 3.828
O -1.860 0.093 16.535
O 0.874 1.428 9.152
O -0.799 1.471 13.816
O 2.602 -1.504 11.479
O 0.002 3.006 11.479
O 0.849 -1.657 16.535
O 1.673 -0.043 13.816
O -0.781 4.641 14.001
O 2.604 1.502 11.489
O 3.629 2.997 8.966
O 1.010 1.564 16.535
O 4.409 -1.644 14.001
```

Output
E, eV per atom: -5.848
Formation enthalpy at 0 K, kJ/mol of formula units: -9054
Total moment, μB/f.u.: 0.00
Space group: R-3, No. 148

A relaxed structure of Al13Si5H14ClO34F4. Source: the Materials Project database, functional PBE-GGA.

```
71
Lattice="9.874 0.000 0.000 4.887 8.601 0.000 4.915 2.792 8.118" Properties=species:S:1:pos:R:3 pbc="T T T"
Al 0.000 0.000 0.000
Al 1.465 0.856 2.380
Al 4.902 4.950 5.091
Al 8.126 8.473 8.052
Al 3.272 3.959 2.341
Al 7.811 8.579 0.099
Al 7.885 5.082 5.101
Al 9.576 5.916 7.975
Al 9.511 3.987 2.341
Al 12.976 5.898 8.064
Al 14.448 8.475 8.092
Al 16.254 5.749 7.917
Al 16.241 7.501 5.154
Si 6.367 3.171 2.773
Si 11.283 8.605 7.216
Si 8.657 7.140 2.809
Si 11.309 8.688 3.921
Si 13.969 7.108 2.792
H 8.382 7.217 6.183
H 6.629 3.070 6.019
H 8.093 2.568 5.671
H 9.930 4.021 4.689
H 11.290 4.629 7.081
H 14.824 10.679 7.323
H 14.262 8.691 5.734
H 9.423 1.843 3.381
H 11.325 6.362 1.317
H 13.471 6.622 5.943
H 8.718 1.422 1.336
H 12.760 3.782 4.687
H 17.677 10.626 7.158
H 16.366 9.822 4.719
Cl 11.308 2.900 5.912
O 2.910 3.783 0.494
O 6.320 5.722 6.102
O 7.713 7.989 6.314
O 1.493 1.222 0.425
O 7.710 6.618 4.041
O 6.370 4.206 4.072
O 9.946 7.837 7.763
O 11.283 10.176 7.769
O 7.761 8.203 1.912
O 5.014 3.368 1.860
O 8.976 5.723 6.314
O 7.606 3.245 6.181
O 9.998 7.909 3.364
O 6.474 1.638 3.404
O 11.365 8.693 5.559
O 7.725 3.435 1.861
O 12.648 7.829 7.734
O 9.131 5.848 1.887
O 11.280 5.368 7.734
O 14.014 10.229 7.670
O 9.127 4.145 4.127
O 12.664 7.943 3.373
O 9.863 3.815 0.448
O 9.961 2.142 2.631
O 11.307 6.149 0.367
O 14.886 8.182 6.275
O 13.511 5.702 6.270
O 8.660 1.367 0.358
O 16.212 9.030 4.145
O 13.481 5.824 1.888
O 14.850 6.600 4.088
O 14.869 8.157 1.880
O 13.493 4.117 4.115
O 18.419 10.203 7.651
F 2.709 2.188 2.614
F 5.051 3.408 6.290
F 4.128 1.321 0.267
F 11.312 4.412 2.648
```

Output
E, eV per atom: -6.638
Formation enthalpy at 0 K, kJ/mol of formula units: -18856
Total moment, μB/f.u.: 0.00
Space group: P1, No. 1

A relaxed structure of DyAgPb. Source: the Materials Project database, functional PBE-GGA.

```
6
Lattice="4.828 0.000 0.000 -2.414 4.181 0.000 0.000 0.000 7.518" Properties=species:S:1:pos:R:3 pbc="T T T"
Dy 0.000 0.000 0.000
Dy 0.000 0.000 3.759
Ag 0.000 2.788 2.405
Ag 2.414 1.394 6.164
Pb 0.000 2.788 5.448
Pb 2.414 1.394 1.689
```

Output
E, eV per atom: -4.121
Formation enthalpy at 0 K, kJ/mol of formula units: -117
Space group: P6_3mc, No. 186

A relaxed structure of La3Cu2S7. Source: the Materials Project database, functional PBE-GGA.

```
24
Lattice="10.347 0.000 0.000 -5.173 8.960 0.000 0.000 0.000 5.758" Properties=species:S:1:pos:R:3 pbc="T T T"
La -2.554 6.869 0.000
La 0.502 3.314 0.000
La 3.121 1.222 2.879
La 2.052 7.738 0.000
La 4.671 5.646 2.879
La 7.728 2.092 2.879
Cu 0.000 0.000 0.091
Cu 0.000 0.000 2.970
Cu 0.000 5.974 2.261
Cu 5.173 2.987 5.140
S -3.430 7.539 2.918
S -1.684 4.615 1.601
S 0.360 2.220 2.918
S 2.102 0.799 0.039
S 0.000 5.974 4.483
S -0.334 8.111 1.601
S 2.018 5.195 1.601
S 3.155 3.766 4.480
S 5.508 0.850 4.480
S 5.173 2.987 1.605
S 3.071 8.162 2.918
S 4.814 6.740 0.039
S 6.857 4.345 4.480
S 8.604 1.421 0.039
```

Output
E, eV per atom: -5.666
Formation enthalpy at 0 K, kJ/mol of formula units: -1887
Total moment, μB/f.u.: 0.26
Space group: P6_3, No. 173

A relaxed structure of Li2Ca3N6. Source: the Materials Project database, functional PBE-GGA.

```
44
Lattice="4.869 0.000 0.000 0.000 14.214 0.000 0.000 0.000 8.064" Properties=species:S:1:pos:R:3 pbc="T T T"
Li 0.000 2.289 0.000
Li 0.000 4.793 4.032
Li 0.000 9.421 4.032
Li 0.000 11.925 0.000
Li 2.434 2.289 0.000
Li 2.434 4.793 4.032
Li 2.434 9.421 4.032
Li 2.434 11.925 0.000
Ca 1.217 0.000 1.467
Ca 1.217 2.323 5.328
Ca 1.217 4.808 1.281
Ca 1.217 7.107 5.502
Ca 1.217 9.405 1.281
Ca 1.217 11.890 5.328
Ca 3.652 0.000 6.597
Ca 3.652 2.323 2.736
Ca 3.652 4.808 6.783
Ca 3.652 7.107 2.563
Ca 3.652 9.405 6.783
Ca 3.652 11.890 2.736
N 1.217 0.659 7.166
N 1.217 2.480 1.738
N 1.217 2.929 2.968
N 1.217 4.265 6.987
N 1.217 4.651 5.741
N 1.217 6.451 3.126
N 1.217 7.762 3.126
N 1.217 9.563 5.741
N 1.217 9.949 6.987
N 1.217 11.284 2.968
N 1.217 11.734 1.738
N 1.217 13.555 7.166
N 3.652 0.659 0.898
N 3.652 2.480 6.326
N 3.652 2.929 5.096
N 3.652 4.265 1.077
N 3.652 4.651 2.323
N 3.652 6.451 4.938
N 3.652 7.762 4.938
N 3.652 9.563 2.323
N 3.652 9.949 1.077
N 3.652 11.284 5.096
N 3.652 11.734 6.326
N 3.652 13.555 0.898
```

Output
E, eV per atom: -5.900
Formation enthalpy at 0 K, kJ/mol of formula units: -696
Total moment, μB/f.u.: 0.33
Space group: Pmma, No. 51

A relaxed structure of Hf3N4. Source: the Materials Project database, functional PBE-GGA.

```
7
Lattice="1.705 0.984 8.412 -1.705 0.984 8.412 0.000 -1.968 8.412" Properties=species:S:1:pos:R:3 pbc="T T T"
Hf 0.000 0.000 0.000
Hf 0.000 0.000 5.602
Hf 0.000 0.000 19.633
N 0.000 0.000 3.338
N 0.000 0.000 9.542
N 0.000 0.000 15.693
N 0.000 0.000 21.897
```

Output
Energy relative to the lowest polymorph listed for this composition, eV/atom: 0.074
E, eV per atom: -10.622
Formation enthalpy at 0 K, kJ/mol of formula units: -1214
Total moment, μB/f.u.: 0.00
Space group: R-3m, No. 166

A relaxed structure of Ca3Ru2N4. Source: the Materials Project database, functional PBE-GGA.

```
36
Lattice="5.982 0.000 0.000 0.000 10.245 0.000 0.000 0.000 8.620" Properties=species:S:1:pos:R:3 pbc="T T T"
Ca 0.744 1.574 0.667
Ca 0.744 3.548 3.643
Ca 1.496 0.000 3.459
Ca 1.496 5.122 0.851
Ca 2.247 6.697 3.643
Ca 2.247 8.670 0.667
Ca 3.735 1.574 7.953
Ca 3.735 3.548 4.976
Ca 4.487 0.000 5.160
Ca 4.487 5.122 7.769
Ca 5.238 6.697 4.976
Ca 5.238 8.670 7.953
Ru 1.159 2.561 6.465
Ru 1.496 0.000 6.413
Ru 1.496 5.122 6.517
Ru 1.832 7.683 6.465
Ru 4.150 2.561 2.155
Ru 4.487 0.000 2.207
Ru 4.487 5.122 2.103
Ru 4.823 7.683 2.155
N 0.174 6.133 2.731
N 0.174 9.234 1.578
N 0.490 6.591 7.407
N 0.490 8.776 5.523
N 2.501 1.469 5.523
N 2.501 3.653 7.407
N 2.817 1.011 1.578
N 2.817 4.112 2.731
N 3.165 6.133 5.888
N 3.165 9.234 7.041
N 3.481 6.591 1.213
N 3.481 8.776 3.097
N 5.492 1.469 3.097
N 5.492 3.653 1.213
N 5.808 1.011 7.041
N 5.808 4.112 5.888
```

Output
Energy relative to the lowest polymorph listed for this composition, eV/atom: 0.000
E, eV per atom: -6.852
Formation enthalpy at 0 K, kJ/mol of formula units: -502
Total moment, μB/f.u.: 0.14
Space group: Pnna, No. 52

- The highest E belongs to which entry?
  DyAgPb

- E of number 3 (Er4InNi2Ge4)?
  -5.412 eV per atom